Entry 1:
This record from Materials Project describes a relaxed structure of YErTl2. The functional is r2SCAN.

a b c (Å): 5.3188 5.3188 5.3188
angles (deg): 60.00 60.00 60.00
With the nearest neighbours (Å) after each atom.
Positions (direct):
Y (0.7500, 0.7500, 0.7500)  8 Tl 3.26
Tl (0.0000, 0.0000, 0.0000)  4 Er 3.26, 4 Y 3.26
Tl (0.5000, 0.5000, 0.5000)  4 Er 3.26, 4 Y 3.26
Er (0.2500, 0.2500, 0.2500)  8 Tl 3.26

Results
- formation energy (eV per atom) = -0.430
- E (eV per atom) = -40.579
- volume (Å³ per atom) = 26.6



Entry 2:
This record from Materials Project describes a relaxed structure of RbTbS2. The functional is r2SCAN.

a b c (Å): 8.0101 8.0101 8.0101
angles (deg): 29.51 29.51 29.51
With the nearest neighbours (Å) after each atom.
Positions (direct):
S (0.2310, 0.2310, 0.2310)  3 Tb 2.78
S (0.7690, 0.7690, 0.7690)  3 Tb 2.78
Rb (0.0000, 0.0000, 0.0000)  6 S 3.33
Tb (0.5000, 0.5000, 0.5000)  6 S 2.78

Results
- formation energy (eV per atom) = -2.141
- E (eV per atom) = -17.447
- volume (Å³ per atom) = 27.6



Entry 3:
This record from Materials Project describes a relaxed structure of SmMg2. The functional is r2SCAN.

a b c (Å): 6.0867 6.0867 6.0867
angles (deg): 60.00 60.00 60.00
With the nearest neighbours (Å) after each atom.
Positions (direct):
Sm (0.1250, 0.1250, 0.1250)  12 Mg 3.57, 4 Sm 3.73
Sm (0.8750, 0.8750, 0.8750)  12 Mg 3.57, 4 Sm 3.73
Mg (0.5000, 0.0000, 0.5000)  6 Mg 3.04
Mg (0.5000, 0.5000, 0.0000)  6 Mg 3.04
Mg (0.0000, 0.5000, 0.5000)  6 Mg 3.04
Mg (0.5000, 0.5000, 0.5000)  6 Mg 3.04

Results
- formation energy (eV per atom) = -0.112
- E (eV per atom) = -12.802
- volume (Å³ per atom) = 26.6